[1]
Computed, not measured: crystalline Sr4La2MgRu2O12 at its relaxed geometry at the PBE level of DFT.

Calculated values
ΔE_f = -2.823 eV per atom
E = -294.40 eV/cell
Calculated volume = 592.19 Å³/cell
Relative energy among the computed polymorphs = 0 meV/atom
Corrected total energy (MP2020 scheme) = -310.9 eV per cell

```
Sr4La2MgRu2O12
1.0
2.793 -2.779 0.000
2.793 2.779 0.000
-0.121 0.000 38.155
Sr La Mg Ru O
8 4 2 4 24
Direct
0.247 0.247 0.133
0.248 0.248 0.798
0.249 0.249 0.701
0.253 0.253 0.035
0.747 0.747 0.965
0.751 0.751 0.299
0.752 0.752 0.202
0.753 0.753 0.867
0.231 0.231 0.463
0.281 0.281 0.372
0.719 0.719 0.628
0.769 0.769 0.537
0.250 0.250 0.583
0.750 0.750 0.417
0.250 0.250 0.251
0.250 0.250 0.916
0.750 0.750 0.084
0.750 0.750 0.749
0.229 0.229 0.523
0.243 0.243 0.862
0.244 0.244 0.196
0.249 0.748 0.417
0.250 0.749 0.749
0.250 0.750 0.084
0.250 0.750 0.916
0.251 0.750 0.251
0.252 0.751 0.583
0.255 0.255 0.306
0.257 0.257 0.971
0.284 0.284 0.640
0.716 0.716 0.360
0.743 0.743 0.029
0.745 0.745 0.694
0.748 0.249 0.417
0.749 0.250 0.749
0.750 0.250 0.084
0.750 0.250 0.916
0.750 0.251 0.251
0.751 0.252 0.583
0.756 0.756 0.804
0.757 0.757 0.138
0.771 0.771 0.477
```



[2]
Computed, not measured: crystalline BaCuSi2O6 at its relaxed geometry at the PBE level of DFT.

Calculated values
ΔE_f = -2.865 eV per atom
E = -568.67 eV/cell
Calculated volume = 1159.84 Å³/cell
Relative energy among the computed polymorphs = 1 meV/atom
Corrected total energy (MP2020 scheme) = -601.6 eV per cell
Size of the total moment = 0.100 μB per atom

```
BaCuSi2O6
1.0
-5.031 5.031 11.458
5.031 -5.031 11.458
5.031 5.031 -11.458
Ba Cu Si O
8 8 16 48
Direct
0.013 0.250 0.263
0.250 0.487 0.237
0.250 0.987 0.737
0.487 0.750 0.237
0.513 0.250 0.763
0.750 0.013 0.263
0.750 0.513 0.763
0.987 0.750 0.737
0.067 0.317 0.750
0.183 0.433 0.750
0.317 0.067 0.250
0.433 0.183 0.250
0.567 0.817 0.750
0.683 0.933 0.750
0.817 0.567 0.250
0.933 0.683 0.250
0.099 0.124 0.973
0.124 0.651 0.025
0.127 0.099 0.475
0.151 0.624 0.525
0.349 0.873 0.473
0.373 0.849 0.973
0.376 0.401 0.527
0.401 0.373 0.025
0.599 0.627 0.975
0.624 0.599 0.473
0.627 0.151 0.027
0.651 0.127 0.527
0.849 0.376 0.475
0.873 0.901 0.525
0.876 0.349 0.975
0.901 0.876 0.027
0.008 0.599 0.474
0.015 0.020 0.251
0.020 0.269 0.005
0.034 0.125 0.526
0.099 0.508 0.974
0.125 0.099 0.091
0.128 0.650 0.408
0.150 0.628 0.908
0.219 0.242 0.592
0.231 0.480 0.495
0.236 0.985 0.505
0.242 0.150 0.022
0.258 0.281 0.908
0.264 0.769 0.749
0.269 0.764 0.249
0.281 0.872 0.022
0.350 0.258 0.478
0.372 0.781 0.522
0.375 0.466 0.974
0.401 0.375 0.409
0.466 0.992 0.091
0.480 0.485 0.249
0.485 0.736 0.005
0.492 0.966 0.591
0.508 0.034 0.409
0.515 0.264 0.995
0.520 0.515 0.751
0.534 0.008 0.909
0.599 0.625 0.591
0.625 0.534 0.026
0.628 0.219 0.478
0.650 0.742 0.522
0.719 0.128 0.978
0.731 0.236 0.751
0.736 0.231 0.251
0.742 0.719 0.092
0.758 0.850 0.978
0.764 0.015 0.495
0.769 0.520 0.505
0.781 0.758 0.408
0.850 0.372 0.092
0.872 0.350 0.592
0.875 0.901 0.909
0.901 0.492 0.026
0.966 0.875 0.474
0.980 0.731 0.995
0.985 0.980 0.749
0.992 0.401 0.526
```



[3]
Computed, not measured: crystalline Li3Pm at its relaxed geometry at the PBE level of DFT.

Calculated values
ΔE_f = 0.204 eV per atom
E = -9.66 eV/cell
Calculated volume = 96.70 Å³/cell
Relative energy among the computed polymorphs = 4 meV/atom
Size of the total moment = 0.000 μB per atom

```
Li3Pm
1.0
0.000 3.643 3.643
3.643 0.000 3.643
3.643 3.643 0.000
Li Pm
3 1
Direct
0.000 0.000 0.000
0.250 0.250 0.250
0.750 0.750 0.750
0.500 0.500 0.500
```



[4]
Computed, not measured: crystalline CaIr2 at its relaxed geometry at the PBE level of DFT.

Calculated values
ΔE_f = -0.473 eV per atom
E = -42.20 eV/cell
Calculated volume = 109.44 Å³/cell

```
CaIr2
1.0
0.000 3.796 3.796
3.796 0.000 3.796
3.796 3.796 0.000
Ca Ir
2 4
Direct
0.125 0.125 0.125
0.875 0.875 0.875
0.000 0.500 0.500
0.500 0.000 0.500
0.500 0.500 0.000
0.500 0.500 0.500
```



[5]
Computed, not measured: crystalline Na5Al2SiSn2P5O24 at its relaxed geometry at the PBE level of DFT.

Calculated values
ΔE_f = -2.708 eV per atom
E = -787.51 eV/cell
Calculated volume = 1457.76 Å³/cell
Corrected total energy (MP2020 scheme) = -837.0 eV per cell
Size of the total moment = 0.000 μB per atom

```
Na5Al2SiSn2P5O24
1.0
8.720 0.000 0.000
4.346 7.579 0.000
0.040 0.084 22.058
Na Al Si Sn P O
15 6 3 6 15 72
Direct
0.000 0.000 0.000
0.000 0.367 0.753
0.005 0.003 0.501
0.029 0.663 0.586
0.030 0.297 0.086
0.298 0.673 0.085
0.331 0.339 0.174
0.339 0.322 0.670
0.357 0.633 0.754
0.362 0.003 0.253
0.662 0.660 0.337
0.664 0.030 0.086
0.667 0.676 0.840
0.698 0.969 0.417
0.964 0.335 0.419
0.002 0.996 0.352
0.003 0.998 0.153
0.331 0.333 0.819
0.332 0.341 0.316
0.657 0.672 0.980
0.660 0.662 0.483
0.001 0.702 0.753
0.371 0.954 0.084
0.952 0.375 0.581
0.331 0.330 0.016
0.332 0.332 0.519
0.667 0.666 0.190
0.668 0.669 0.686
0.996 0.999 0.857
0.997 0.004 0.649
0.001 0.285 0.254
0.031 0.342 0.917
0.040 0.629 0.415
0.278 0.709 0.253
0.293 0.006 0.754
0.331 0.036 0.415
0.339 0.623 0.917
0.379 0.667 0.583
0.619 0.039 0.917
0.621 0.336 0.415
0.661 0.957 0.581
0.669 0.376 0.084
0.698 0.290 0.754
0.711 0.008 0.253
0.951 0.671 0.083
0.014 0.817 0.407
0.016 0.172 0.913
0.030 0.173 0.196
0.047 0.778 0.691
0.126 0.363 0.862
0.133 0.497 0.364
0.141 0.301 0.977
0.141 0.508 0.078
0.147 0.363 0.579
0.147 0.560 0.476
0.162 0.022 0.407
0.170 0.302 0.260
0.172 0.809 0.915
0.173 0.793 0.194
0.174 0.049 0.697
0.174 0.978 0.094
0.177 0.508 0.762
0.190 0.830 0.586
0.192 0.835 0.307
0.213 0.960 0.809
0.285 0.157 0.472
0.299 0.552 0.977
0.301 0.524 0.261
0.311 0.169 0.763
0.348 0.154 0.080
0.356 0.502 0.579
0.359 0.508 0.862
0.368 0.125 0.360
0.466 0.696 0.249
0.469 0.821 0.029
0.470 0.695 0.529
0.471 0.832 0.747
0.477 0.637 0.644
0.492 0.887 0.147
0.498 0.138 0.864
0.499 0.364 0.362
0.500 0.357 0.079
0.501 0.144 0.578
0.501 0.856 0.426
0.508 0.635 0.925
0.514 0.312 0.763
0.521 0.168 0.259
0.553 0.144 0.978
0.553 0.287 0.473
0.623 0.491 0.142
0.625 0.886 0.641
0.636 0.855 0.925
0.642 0.501 0.423
0.675 0.479 0.747
0.687 0.839 0.250
0.691 0.839 0.526
0.705 0.462 0.029
0.776 0.181 0.696
0.798 0.028 0.194
0.804 0.024 0.915
0.810 0.170 0.408
0.825 0.978 0.310
0.827 0.218 0.807
0.827 0.678 0.750
0.831 0.189 0.093
0.831 0.702 0.029
0.833 0.472 0.249
0.833 0.473 0.523
0.836 0.963 0.587
0.850 0.508 0.926
0.853 0.648 0.423
0.884 0.489 0.645
0.885 0.619 0.141
0.959 0.831 0.810
0.968 0.838 0.093
0.972 0.181 0.586
0.973 0.198 0.310
```



[6]
Computed, not measured: crystalline PrZnCu2O6 at its relaxed geometry at the PBE level of DFT.

Calculated values
ΔE_f = -1.655 eV per atom
E = -112.70 eV/cell
Calculated volume = 215.32 Å³/cell
Corrected total energy (MP2020 scheme) = -120.9 eV per cell
Size of the total moment = 0.002 μB per atom

```
PrZnCu2O6
1.0
7.605 0.000 0.000
0.000 5.427 0.000
0.000 0.000 5.217
Pr Zn Cu O
2 2 4 12
Direct
0.000 0.206 0.000
0.500 0.794 0.500
0.000 0.697 0.463
0.500 0.303 0.963
0.248 0.747 0.988
0.252 0.253 0.488
0.748 0.253 0.488
0.752 0.747 0.988
0.000 0.302 0.560
0.000 0.772 0.853
0.192 0.948 0.297
0.193 0.487 0.219
0.307 0.513 0.719
0.308 0.052 0.797
0.500 0.228 0.353
0.500 0.698 0.060
0.692 0.052 0.797
0.693 0.513 0.719
0.807 0.487 0.219
0.808 0.948 0.297
```



[7]
Computed, not measured: crystalline LaRh3 at its relaxed geometry at the PBE level of DFT.

Calculated values
ΔE_f = -0.349 eV per atom
E = -28.42 eV/cell
Calculated volume = 71.50 Å³/cell
Size of the total moment = 0.000 μB per atom

```
LaRh3
1.0
4.151 0.000 0.000
0.000 4.151 0.000
0.000 0.000 4.151
La Rh
1 3
Direct
0.000 0.000 0.000
0.000 0.500 0.500
0.500 0.000 0.500
0.500 0.500 0.000
```



[8]
Computed, not measured: crystalline Ho9Er3Mn2Bi4 at its relaxed geometry at the PBE level of DFT.

Calculated values
ΔE_f = -0.398 eV per atom
E = -95.99 eV/cell
Calculated volume = 503.46 Å³/cell
Size of the total moment = 0.014 μB per atom

```
Ho9Er3Mn2Bi4
1.0
8.241 0.000 0.000
0.000 4.281 0.000
-0.001 0.000 14.269
Ho Er Mn Bi
9 3 2 4
Direct
0.000 0.000 0.000
0.000 0.000 0.233
0.313 0.500 0.313
0.313 0.500 0.920
0.351 0.000 0.116
0.500 0.000 0.500
0.500 0.000 0.733
0.813 0.500 0.420
0.851 0.000 0.617
0.225 0.500 0.616
0.725 0.500 0.116
0.813 0.500 0.813
0.117 0.500 0.117
0.617 0.500 0.617
0.117 0.000 0.450
0.117 0.000 0.783
0.617 0.000 0.283
0.617 0.000 0.950
```



[9]
Computed, not measured: crystalline Ga3Au at its relaxed geometry at the PBE level of DFT.

Calculated values
ΔE_f = -0.040 eV per atom
E = -12.52 eV/cell
Calculated volume = 73.71 Å³/cell
Relative energy among the computed polymorphs = 0 meV/atom
Size of the total moment = 0.000 μB per atom

```
Ga3Au
1.0
-2.118 2.118 4.106
2.118 -2.118 4.106
2.118 2.118 -4.106
Ga Au
3 1
Direct
0.000 0.000 0.000
0.250 0.750 0.500
0.750 0.250 0.500
0.500 0.500 0.000
```



[10]
Computed, not measured: crystalline Ba8Ga7 at its relaxed geometry at the PBE level of DFT.

Calculated values
ΔE_f = -0.371 eV per atom
E = -168.46 eV/cell
Calculated volume = 2241.13 Å³/cell

```
Ba8Ga7
1.0
13.086 0.000 0.000
0.000 13.086 0.000
0.000 0.000 13.086
Ba Ga
32 28
Direct
0.001 0.202 0.943
0.020 0.203 0.438
0.057 0.501 0.298
0.062 0.980 0.703
0.187 0.687 0.813
0.188 0.812 0.312
0.202 0.943 0.001
0.203 0.438 0.020
0.297 0.562 0.520
0.298 0.057 0.501
0.312 0.188 0.812
0.313 0.313 0.313
0.438 0.020 0.203
0.443 0.499 0.798
0.480 0.797 0.938
0.499 0.798 0.443
0.501 0.298 0.057
0.520 0.297 0.562
0.557 0.999 0.702
0.562 0.520 0.297
0.687 0.813 0.187
0.688 0.688 0.688
0.702 0.557 0.999
0.703 0.062 0.980
0.797 0.938 0.480
0.798 0.443 0.499
0.812 0.312 0.188
0.813 0.187 0.687
0.938 0.480 0.797
0.943 0.001 0.202
0.980 0.703 0.062
0.999 0.702 0.557
0.068 0.432 0.568
0.076 0.260 0.694
0.082 0.247 0.187
0.187 0.082 0.247
0.194 0.424 0.740
0.240 0.306 0.576
0.247 0.187 0.082
0.253 0.813 0.582
0.260 0.694 0.076
0.306 0.576 0.240
0.313 0.918 0.747
0.418 0.753 0.687
0.424 0.740 0.194
0.432 0.568 0.068
0.568 0.068 0.432
0.576 0.240 0.306
0.582 0.253 0.813
0.687 0.418 0.753
0.694 0.076 0.260
0.740 0.194 0.424
0.747 0.313 0.918
0.753 0.687 0.418
0.760 0.806 0.924
0.806 0.924 0.760
0.813 0.582 0.253
0.918 0.747 0.313
0.924 0.760 0.806
0.932 0.932 0.932
```



[11]
Computed, not measured: crystalline Nd3Cl at its relaxed geometry at the PBE level of DFT.

Calculated values
ΔE_f = -0.255 eV per atom
E = -33.12 eV/cell
Calculated volume = 240.10 Å³/cell
Corrected total energy (MP2020 scheme) = -34.3 eV per cell
Size of the total moment = 0.001 μB per atom

```
Nd3Cl
1.0
7.285 0.000 0.000
-3.642 6.309 0.000
0.000 0.000 5.225
Nd Cl
6 2
Direct
0.172 0.345 0.250
0.172 0.828 0.250
0.345 0.172 0.750
0.655 0.828 0.250
0.828 0.172 0.750
0.828 0.655 0.750
0.333 0.667 0.750
0.667 0.333 0.250
```